First-principles (PBE) data for a relaxed NpAl3 crystal, as listed in the Materials Project database.

Electronic total energy   -49.16 eV per cell
Magnetic moment   3.97 μB per formula unit
SG   P6_3/mmc, No. 194

Cell: 6.1727 6.1727 4.7006 Å, 90.00 90.00 120.00°
Sites, in units of the cell vectors:
Np 0.3333 0.6667 0.2500
Np 0.6667 0.3333 0.7500
Al 0.1537 0.3074 0.7500
Al 0.1537 0.8463 0.7500
Al 0.3074 0.1537 0.2500
Al 0.6926 0.8463 0.7500
Al 0.8463 0.1537 0.2500
Al 0.8463 0.6926 0.2500